Computed, not measured: MgSi2 after structural relaxation at the PBE level of DFT.

The structure in POSCAR format:
```
MgSi2
1.0
9.036 -1.882 0.000
9.036 1.882 0.000
-0.052 0.000 6.833
Mg Si
4 8
direct
0.101 0.101 0.059 Mg
0.162 0.162 0.502 Mg
0.838 0.838 0.498 Mg
0.899 0.899 0.941 Mg
0.007 0.007 0.674 Si
0.283 0.283 0.777 Si
0.294 0.294 0.148 Si
0.421 0.421 0.253 Si
0.579 0.579 0.747 Si
0.706 0.706 0.852 Si
0.717 0.717 0.223 Si
0.993 0.993 0.326 Si
```

Calculated values
symmetry: C2/m (12)
polymorph energy (0 for the lowest one): 108 meV/atom
VASP energy: -4.01 eV per atom

***

Computed, not measured: BaSbAu after structural relaxation at the PBE level of DFT.

The structure in POSCAR format:
```
BaSbAu
1.0
5.685 0.000 0.000
-2.843 4.923 0.000
0.000 0.000 6.907
Ba Sb Au
2 2 2
direct
0.333 0.667 0.250 Ba
0.667 0.333 0.750 Ba
0.333 0.667 0.750 Sb
0.667 0.333 0.250 Sb
0.000 0.000 0.000 Au
0.000 0.000 0.500 Au
```

Calculated values
symmetry: P6_3/mmc (194)
VASP energy: -3.42 eV per atom

***

Computed, not measured: Er2Al3Co after structural relaxation at the PBE level of DFT.

The structure in POSCAR format:
```
Er2Al3Co
1.0
2.721 1.571 4.279
-2.721 1.571 4.279
0.000 -3.141 4.279
Er Al Co
2 3 1
direct
0.127 0.127 0.127 Er
0.873 0.873 0.873 Er
0.000 0.500 0.500 Al
0.500 0.000 0.500 Al
0.500 0.500 0.000 Al
0.500 0.500 0.500 Co
```

Calculated values
symmetry: R-3m (166)
polymorph energy (0 for the lowest one): 31 meV/atom
VASP energy: -5.04 eV per atom

***

Computed, not measured: AsPd2 after structural relaxation at the PBE level of DFT.

The structure in POSCAR format:
```
AsPd2
1.0
1.666 -8.597 0.000
1.666 8.597 0.000
0.000 0.000 6.705
As Pd
4 8
direct
0.058 0.942 0.500 As
0.296 0.704 0.535 As
0.704 0.296 0.035 As
0.942 0.058 0.000 As
0.085 0.915 0.130 Pd
0.175 0.825 0.764 Pd
0.329 0.671 0.910 Pd
0.462 0.538 0.292 Pd
0.538 0.462 0.792 Pd
0.671 0.329 0.410 Pd
0.825 0.175 0.264 Pd
0.915 0.085 0.630 Pd
```

Calculated values
symmetry: Cmc2_1 (36)
VASP energy: -5.38 eV per atom

***

Computed, not measured: BaBeSi after structural relaxation at the PBE level of DFT.

The structure in POSCAR format:
```
BaBeSi
1.0
4.127 0.000 0.000
-2.064 3.574 0.000
0.000 0.000 4.930
Ba Be Si
1 1 1
direct
0.000 0.000 0.000 Ba
0.333 0.667 0.500 Be
0.667 0.333 0.500 Si
```

Calculated values
symmetry: P-6m2 (187)
VASP energy: -3.85 eV per atom

***

Computed, not measured: K6Na3Ti2Al2Si8Cl3O26 after structural relaxation at the PBE level of DFT.

The structure in POSCAR format:
```
K6Na3Ti2Al2Si8Cl3O26
1.0
9.248 0.000 0.000
-1.389 9.680 0.000
-1.395 -4.392 8.625
K Na Ti Al Si Cl O
6 3 2 2 8 3 26
direct
0.107 0.066 0.349 K
0.107 0.349 0.066 K
0.363 0.091 0.107 K
0.637 0.909 0.893 K
0.893 0.651 0.934 K
0.893 0.934 0.651 K
0.000 0.500 0.500 Na
0.500 0.383 0.617 Na
0.500 0.617 0.383 Na
0.500 0.000 0.500 Ti
0.500 0.500 0.000 Ti
0.000 0.316 0.684 Al
0.000 0.684 0.316 Al
0.264 0.627 0.823 Si
0.264 0.823 0.627 Si
0.277 0.162 0.736 Si
0.277 0.735 0.162 Si
0.723 0.265 0.838 Si
0.723 0.838 0.264 Si
0.736 0.177 0.373 Si
0.736 0.373 0.177 Si
0.000 0.000 0.000 Cl
0.276 0.382 0.382 Cl
0.724 0.618 0.618 Cl
0.102 0.505 0.739 O
0.102 0.739 0.505 O
0.110 0.182 0.676 O
0.110 0.676 0.182 O
0.253 0.754 0.998 O
0.253 0.998 0.753 O
0.297 0.731 0.731 O
0.354 0.299 0.910 O
0.354 0.910 0.298 O
0.369 0.138 0.599 O
0.369 0.599 0.138 O
0.403 0.546 0.835 O
0.403 0.835 0.546 O
0.597 0.165 0.454 O
0.597 0.454 0.165 O
0.631 0.401 0.862 O
0.631 0.862 0.401 O
0.646 0.090 0.702 O
0.646 0.701 0.090 O
0.703 0.269 0.269 O
0.747 0.002 0.247 O
0.747 0.246 0.002 O
0.890 0.324 0.818 O
0.890 0.818 0.324 O
0.898 0.261 0.495 O
0.898 0.495 0.261 O
```

Calculated values
symmetry: P-1 (2)
VASP energy: -6.87 eV per atom